VASP calculation (PBE) on a geometry-optimized Na6Zr4Si7Ge4S5O48 structure.

Results
* formation energy from the elements: -2.590 eV per atom
* E: -6.966 eV/atom
* symmetry: No. 1

Cell lengths 17.6646, 8.8326, 22.6775 Å; angles 89.90, 89.61, 119.91 degrees
Last column: nearest neighbours and their distance in Å.
Fractional coordinates of all 222 atoms:
Na1 0.4981 0.9951 0.4974  6 O 2.40-2.62
Na2 0.4989 0.3704 0.7533  5 O 2.31-2.57
Na3 0.1745 0.6715 0.1668  6 O 2.48-2.70
Na4 0.9988 0.0013 0.9986  6 O 2.42-2.59
Na5 0.1668 0.0202 0.4148  5 O 2.38-2.65
Na6 0.8341 0.3326 0.8348  6 O 2.57-2.68
Na7 0.6730 0.6764 0.6685  6 O 2.45-2.72
Na8 0.9992 0.6289 0.2516  4 O 2.30-2.47
Na9 0.6702 0.6676 0.1605  4 O 2.39-2.56
Na10 0.9980 0.9901 0.5053  6 O 2.39-2.65
Na11 0.1744 0.6773 0.6638  6 O 2.43-2.72
Na12 0.4974 0.0013 0.0071  4 O 2.37-2.55
Na13 0.4986 0.6391 0.2467  2 O 2.23-2.27
Na14 0.9993 0.3572 0.7523  2 O 2.22-2.23
Na15 0.6660 0.3156 0.9180  5 O 2.38-2.65
Na16 0.3339 0.3361 0.3299  6 O 2.47-2.75
Na17 0.3319 0.3344 0.8355  6 O 2.50-2.66
Na18 0.8323 0.3283 0.3317  6 O 2.50-2.70
Ge1 0.1674 0.6679 0.0176  4 O 1.79-2.00
Ge2 0.9927 0.0287 0.8575  4 O 1.78-1.85
Ge3 0.9981 0.9936 0.6465  4 O 1.80-1.93
Ge4 0.4984 0.9951 0.6620  3 O 1.73-1.77
Ge5 0.6627 0.6331 0.0202  4 O 1.79-1.88
Ge6 0.4927 0.9579 0.3546  4 O 1.76-1.86
Ge7 0.1754 0.7115 0.5143  3 O 1.77-1.80
Ge8 0.8416 0.3667 0.4845  2 O 1.75-1.79
Ge9 0.3549 0.3367 0.9891  3 O 1.74-1.79
Ge10 0.4962 0.9765 0.1387  5 O 1.82-1.94
Ge11 0.6671 0.6655 0.5168  4 O 1.79-1.98
Ge12 0.9994 0.0040 0.1596  3 O 1.74-1.78
O1 0.2647 0.6963 0.2534  1 Si 1.62
O2 0.5855 0.6912 0.7506  1 Si 1.61
O3 0.6436 0.8274 0.2570  1 Si 1.67
O4 0.9163 0.3143 0.2412  1 Si 1.62
O5 0.3547 0.5300 0.2421  1 Si 1.64
O6 0.7391 0.1149 0.6334  1 S 1.49
O7 0.7657 0.7077 0.9762  1 Si 1.65
O8 0.8159 0.1353 0.4284  1 S 1.49
O9 0.0645 0.4925 0.8587  1 Si 1.63
O10 0.2689 0.6915 0.9733  1 S 1.49
O11 0.7486 0.3558 0.4273  1 S 1.53
O12 0.0834 0.0139 0.5941  1 Si 1.64
O13 0.7646 0.8344 0.7528  1 Si 1.60
O14 0.5781 0.4610 0.2565  1 S 1.53
O15 0.5805 0.1966 0.6905  1 Si 1.66, 1 Ge 1.77
O16 0.7398 0.3046 0.7450  1 Si 1.62
O17 0.3476 0.5537 0.5303  1 S 1.48
O18 0.2420 0.1780 0.2450  1 Si 1.60
O19 0.5190 0.8511 0.4144  1 Si 1.64
O20 0.0967 0.1725 0.0862  1 S 1.49
O21 0.2276 0.3050 0.0271  1 S 1.48
O22 0.7450 0.1334 0.9224  1 S 1.52
O23 0.5840 0.1562 0.0944  1 Si 1.62
O24 0.2312 0.2991 0.7480  1 Si 1.62
O25 0.0853 0.4785 0.2514  1 Si 1.62
O26 0.4454 0.5113 0.1401  1 Si 1.63
O27 0.1785 0.4817 0.3660  1 S 1.47
O28 0.2453 0.1363 0.9255  1 S 1.47
O29 0.6787 0.8784 0.8646  1 S 1.48
O30 0.9136 0.7917 0.3054  1 Si 1.63
O31 0.0125 0.8367 0.4190  1 Si 1.64
O32 0.5657 0.6359 0.3603  1 Si 1.62
O33 0.5729 0.4940 0.5752  1 S 1.50
O34 0.9197 0.4765 0.4268  1 Si 1.68, 1 Ge 1.79
O35 0.6546 0.4610 0.4731  1 S 1.51
O36 0.5924 0.0354 0.3127  1 Si 1.65, 1 Ge 1.80
O37 0.2594 0.6389 0.8667  1 S 1.50
O38 0.7519 0.6332 0.8611  1 Si 1.62
O39 0.4161 0.5188 0.7399  1 Si 1.62
O40 0.4182 0.9851 0.4061  1 Si 1.64
O41 0.3516 0.1764 0.7419  1 Si 1.61
O42 0.8994 0.8347 0.1878  1 Si 1.64, 1 Ge 1.76
O43 0.8571 0.1805 0.7395  1 Si 1.65
O44 0.0798 0.9641 0.1910  1 Si 1.67, 1 Ge 1.78
O45 0.8223 0.5043 0.9255  1 Si 1.66
O46 0.0887 0.2036 0.4177  1 S 1.49
O47 0.0564 0.6262 0.3587  1 Si 1.62
O48 0.3080 0.1117 0.1374  1 Si 1.62
O49 0.8522 0.5268 0.2423  1 Si 1.62
O50 0.7461 0.3659 0.1380  1 Si 1.62
O51 0.3479 0.1535 0.0233  1 Si 1.66, 1 Ge 1.74
O52 0.2407 0.8311 0.0686  1 Si 1.68, 1 Ge 1.80
O53 0.4934 0.1737 0.5879  1 S 1.48
O54 0.2442 0.3591 0.4244  1 S 1.50
O55 0.1532 0.8459 0.9719  1 S 1.51
O56 0.9201 0.0443 0.8070  1 Si 1.65, 1 Ge 1.78
O57 0.7596 0.6913 0.2522  1 Si 1.61
O58 0.9052 0.9661 0.6883  1 Si 1.63, 1 Ge 1.80
O59 0.9848 0.7907 0.8034  1 S 1.44
O60 0.0186 0.2026 0.1885  1 Si 1.65, 1 Ge 1.74
O61 0.8504 0.5440 0.5243  1 Si 1.67, 1 Ge 1.75
O62 0.2505 0.8706 0.3615  1 Si 1.61
O63 0.4287 0.5073 0.4280  1 Si 1.62
O64 0.5114 0.1858 0.9167  1 Si 1.64
O65 0.1546 0.4664 0.4738  1 S 1.47
O66 0.2375 0.3624 0.1335  1 S 1.49
O67 0.5845 0.4677 0.9732  1 Si 1.63, 1 Ge 1.79
O68 0.1833 0.8812 0.8655  1 S 1.50
O69 0.2516 0.6463 0.5765  1 S 1.50
O70 0.9243 0.5363 0.7430  1 S 1.51
O71 0.5986 0.0231 0.5857  1 S 1.47
O72 0.1743 0.8366 0.5765  1 Si 1.68, 1 Ge 1.80
O73 0.9428 0.3646 0.6347  1 S 1.49
O74 0.0197 0.1899 0.9150  1 Si 1.65, 1 Ge 1.81
O75 0.3207 0.5295 0.6357  1 S 1.48
O76 0.5138 0.2077 0.1972  1 S 1.44
O77 0.4467 0.3635 0.6370  1 S 1.47
O78 0.9296 0.5520 0.0320  1 S 1.49
O79 0.4904 0.8162 0.0854  1 Si 1.62
O80 0.9826 0.1706 0.3071  1 Si 1.62
O81 0.9931 0.8128 0.0880  1 S 1.48
O82 0.4165 0.5363 0.0251  1 Si 1.67, 1 Ge 1.75
O83 0.5843 0.6561 0.0683  1 Si 1.64
O84 0.7564 0.8627 0.0777  1 S 1.46
O85 0.6784 0.5104 0.0772  1 Si 1.64, 1 Ge 1.79
O86 0.5898 0.2050 0.4152  1 S 1.45
O87 0.5897 0.6987 0.4768  1 Si 1.66, 1 Ge 1.79
O88 0.4138 0.0351 0.8048  1 Si 1.62
O89 0.1764 0.4930 0.0744  1 S 1.51
O90 0.2446 0.1208 0.6381  1 Si 1.62
O91 0.4229 0.3085 0.2466  1 S 1.51
O92 0.9153 0.8506 0.9070  1 Si 1.66, 1 Ge 1.85
O93 0.9873 0.1757 0.5847  1 S 1.47
O94 0.9468 0.5306 0.1374  1 S 1.47
O95 0.7414 0.6509 0.5687  1 Si 1.67, 1 Ge 1.82
O96 0.0902 0.4832 0.9759  1 Si 1.65, 1 Ge 1.79
O97 0.7231 0.2944 0.0239  1 Si 1.65
O98 0.8501 0.1449 0.0307  1 S 1.49
O99 0.0147 0.8196 0.6952  1 S 1.47
O100 0.4864 0.1785 0.3055  1 S 1.46
O101 0.7596 0.8822 0.3676  1 S 1.48
O102 0.6042 0.1758 0.8097  1 Si 1.62
O103 0.5748 0.9625 0.1920  1 Si 1.61
O104 0.2758 0.8360 0.4752  1 Si 1.67, 1 Ge 1.78
O105 0.3978 0.9635 0.6875  1 Si 1.65, 1 Ge 1.75
O106 0.0786 0.6958 0.7545  1 S 1.51
O107 0.1475 0.8264 0.2502  1 Si 1.63
O108 0.6780 0.8629 0.5745  1 S 1.49
O109 0.9219 0.3054 0.5283  1 S 1.53
O110 0.4295 0.3078 0.5318  1 S 1.49
O111 0.5561 0.4850 0.8571  1 Si 1.63
O112 0.0851 0.6966 0.4756  1 Si 1.66, 1 Ge 1.77
O113 0.8120 0.5070 0.6373  1 Si 1.63
O114 0.1432 0.4616 0.7562  1 Si 1.66
O115 0.5890 0.9777 0.9157  1 S 1.50
O116 0.0870 0.9701 0.9134  1 S 1.47
O117 0.4824 0.7949 0.8064  1 Si 1.61
O118 0.0693 0.4914 0.5733  1 S 1.47
O119 0.2216 0.1462 0.5234  1 Si 1.64
O120 0.8972 0.9804 0.4176  1 S 1.47
O121 0.7322 0.1644 0.2490  1 Si 1.63
O122 0.5190 0.8342 0.6877  1 Si 1.67, 1 Ge 1.73
O123 0.6481 0.4707 0.7499  1 Si 1.61
O124 0.6861 0.4850 0.3667  1 S 1.47
O125 0.4178 0.0138 0.0895  1 Si 1.61
O126 0.8239 0.1174 0.1362  1 S 1.49
O127 0.3970 0.8129 0.9166  1 S 1.47
O128 0.3143 0.4953 0.9264  1 S 1.46
O129 0.6553 0.8488 0.9719  1 S 1.44
O130 0.9281 0.3512 0.9265  1 Si 1.62
O131 0.0725 0.6511 0.0753  1 S 1.50
O132 0.3230 0.1434 0.4247  1 Si 1.65
O133 0.1050 0.0320 0.3100  1 Si 1.64
O134 0.0746 0.1857 0.6916  1 Si 1.64
O135 0.7692 0.8465 0.4741  1 S 1.49
O136 0.4190 0.3581 0.9250  1 Si 1.66, 1 Ge 1.79
O137 0.9172 0.0189 0.0883  1 S 1.51
O138 0.0901 0.1462 0.8118  1 Si 1.64, 1 Ge 1.82
O139 0.4183 0.7938 0.3077  1 Si 1.66, 1 Ge 1.76
O140 0.4057 0.8453 0.1890  1 Si 1.61
O141 0.7297 0.1536 0.5267  1 S 1.51
O142 0.4135 0.8133 0.5877  1 S 1.49
O143 0.2582 0.8265 0.7512  1 Si 1.61
O144 0.9185 0.8264 0.5904  1 Si 1.63
Si1 0.5263 0.6733 0.4195  4 O 1.62-1.66
Si2 0.9996 0.2864 0.2479  4 O 1.62-1.65
Si3 0.3539 0.9965 0.7469  4 O 1.61-1.65
Si4 0.6793 0.3260 0.0838  4 O 1.62-1.65
Si5 0.0179 0.6568 0.4195  4 O 1.62-1.68
Si6 0.3301 0.0250 0.0815  4 O 1.61-1.68
Si7 0.1464 0.0092 0.2481  4 O 1.60-1.67
Si8 0.3616 0.7219 0.2462  4 O 1.61-1.66
Si9 0.1791 0.0306 0.5834  4 O 1.62-1.68
Si10 0.5173 0.3773 0.9185  4 O 1.63-1.66
Si11 0.4867 0.6294 0.0805  4 O 1.62-1.67
Si12 0.6320 0.0031 0.2509  4 O 1.61-1.67
Si13 0.3196 0.9556 0.4143  4 O 1.61-1.67
Si14 0.1319 0.2633 0.7516  4 O 1.62-1.66
Si15 0.8614 0.9989 0.7468  4 O 1.60-1.65
Si16 0.8308 0.6378 0.5816  4 O 1.63-1.67
Si17 0.8150 0.6834 0.9178  4 O 1.62-1.66
Si18 0.6436 0.2841 0.7490  4 O 1.61-1.66
Si19 0.8550 0.7122 0.2464  4 O 1.61-1.64
Si20 0.0260 0.3818 0.9196  4 O 1.62-1.65
Si21 0.4999 0.7120 0.7480  4 O 1.61-1.67
Zr1 0.4963 0.9994 0.8531  4 O 1.98-2.11
Zr2 0.8212 0.3186 0.1897  5 O 1.97-2.17
Zr3 0.3211 0.3229 0.6900  5 O 1.98-2.20
Zr4 0.6683 0.6645 0.8097  6 O 2.01-2.20
Zr5 0.8272 0.3330 0.6853  4 O 1.96-2.14
Zr6 0.1697 0.6636 0.8125  6 O 2.00-2.21
Zr7 0.3348 0.3288 0.4810  6 O 2.01-2.19
Zr8 0.6670 0.6735 0.3095  5 O 2.00-2.20
Zr9 0.8345 0.3412 0.9820  6 O 2.02-2.20
Zr10 0.3329 0.3288 0.1821  6 O 2.02-2.24
Zr11 0.1685 0.6732 0.3075  6 O 2.02-2.22
Zr12 0.9970 0.9929 0.3517  4 O 1.96-2.16
S1 0.6679 0.3751 0.4198  4 O 1.45-1.53
S2 0.3100 0.6557 0.9215  4 O 1.46-1.50
S3 0.4854 0.3323 0.5838  4 O 1.47-1.50
S4 0.6661 0.9511 0.9200  4 O 1.44-1.52
S5 0.4994 0.2772 0.2508  4 O 1.44-1.53
S6 0.1849 0.3310 0.0793  4 O 1.48-1.51
S7 0.3337 0.6380 0.5826  4 O 1.48-1.50
S8 0.0002 0.7196 0.7503  4 O 1.44-1.51
S9 0.9824 0.3370 0.5805  4 O 1.47-1.53
S10 0.1656 0.3826 0.4210  4 O 1.47-1.50
S11 0.8100 0.9618 0.4217  4 O 1.47-1.49
S12 0.8356 0.0316 0.0834  4 O 1.46-1.51
S13 0.1676 0.9620 0.9190  4 O 1.47-1.51
S14 0.6853 0.0382 0.5798  4 O 1.47-1.51
S15 0.9852 0.6385 0.0841  4 O 1.47-1.50